Entry 1:
! NaSr2AlP3 PBE relaxed; values from VASP
! Calculated formation energy in meV/atom: -883
! Total DFT energy (no corrections) in eV/atom: -4.41
! Magnetic moment in Bohr magnetons per cell: 0.00
&SYSTEM
  ibrav = 0, nat = 28, ntyp = 4
/
ATOMIC_SPECIES
Na 22.99 Na.upf
Sr 87.62 Sr.upf
Al 26.98 Al.upf
P 30.97 P.upf
CELL_PARAMETERS angstrom
4.546 6.750 0.000
-4.546 6.750 0.000
0.000 3.346 11.077
ATOMIC_POSITIONS angstrom
Na -1.809 6.750 0.000
Na 0.000 5.597 2.561
Na 0.000 11.250 8.517
Na 1.809 6.750 0.000
Sr 2.529 8.648 7.597
Sr -2.529 8.199 3.480
Sr -2.529 8.648 7.597
Sr 2.273 5.048 5.539
Sr 2.529 8.199 3.480
Sr -2.273 3.375 0.000
Sr 2.273 3.375 0.000
Sr -2.273 5.048 5.539
Al 0.000 10.312 2.963
Al 0.000 4.169 9.772
Al 0.000 12.678 1.305
Al 0.000 6.535 8.115
P -2.690 5.043 2.532
P 0.000 8.432 1.513
P 2.690 11.804 8.546
P 0.000 2.805 5.389
P 0.000 9.550 5.405
P 0.000 15.315 10.035
P 0.000 1.532 1.043
P 0.000 8.415 9.564
P 2.690 5.043 2.532
P 0.000 14.042 5.688
P -2.690 11.804 8.546
P 0.000 7.297 5.673


Entry 2:
! Ho3AlC PBE relaxed; values from VASP
! Calculated formation energy in meV/atom: -410
! Total DFT energy (no corrections) in eV/atom: -5.75
&SYSTEM
  ibrav = 0, nat = 5, ntyp = 3
/
ATOMIC_SPECIES
Ho 164.93 Ho.upf
Al 26.98 Al.upf
C 12.01 C.upf
CELL_PARAMETERS angstrom
-4.573 -0.481 -1.557
-0.870 -3.202 3.544
-1.378 3.617 2.930
ATOMIC_POSITIONS angstrom
Ho -1.124 0.207 3.237
Ho -2.976 1.568 0.686
Ho -2.722 -1.842 0.993
Al 0.000 0.000 0.000
C -3.411 -0.033 2.458


Entry 3:
! Sc PBE relaxed; values from VASP
! Calculated formation energy in meV/atom: 65
! Total DFT energy (no corrections) in eV/atom: -6.27
! E above lowest polymorph in eV/atom: 0.065
! Magnetic moment in Bohr magnetons per cell: 0.04
&SYSTEM
  ibrav = 0, nat = 3, ntyp = 1
/
ATOMIC_SPECIES
Sc 44.96 Sc.upf
CELL_PARAMETERS angstrom
1.880 0.000 -2.590
0.000 5.001 0.000
3.562 -2.500 2.590
ATOMIC_POSITIONS angstrom
Sc 4.244 0.000 -0.851
Sc 0.940 0.000 -1.295
Sc 1.197 2.500 0.851


Entry 4:
! Ca10Nb5InO24 PBE relaxed; values from VASP
! Calculated formation energy in meV/atom: -3237
! Total DFT energy (no corrections) in eV/atom: -7.63
! E above lowest polymorph in eV/atom: 0.000
! Magnetic moment in Bohr magnetons per cell: 0.00
&SYSTEM
  ibrav = 0, nat = 40, ntyp = 4
/
ATOMIC_SPECIES
Ca 40.08 Ca.upf
Nb 92.91 Nb.upf
In 114.82 In.upf
O 16.00 O.upf
CELL_PARAMETERS angstrom
4.656 -6.252 -2.160
4.065 1.074 6.868
-0.683 -7.658 6.175
ATOMIC_POSITIONS angstrom
Ca 4.173 -8.258 3.210
Ca 4.065 1.058 6.862
Ca 3.229 -5.569 1.372
Ca 3.059 -1.856 5.808
Ca 2.902 -7.943 6.199
Ca 7.219 -10.467 8.488
Ca 5.023 -11.024 5.108
Ca 4.772 -7.242 9.492
Ca 0.810 -2.392 2.415
Ca 5.145 -4.861 4.700
Nb 1.662 -10.761 5.119
Nb 6.627 -5.652 1.354
Nb 1.850 -5.184 4.341
Nb 6.190 -7.663 6.529
Nb 3.640 -10.171 8.559
In 3.876 -4.578 7.687
O 5.678 -3.744 6.721
O 6.069 -7.313 2.216
O 1.209 -6.424 5.639
O 5.296 -9.178 8.036
O 2.113 -5.522 8.581
O 2.226 -9.119 4.219
O 2.772 -3.653 2.889
O 6.813 -6.451 5.184
O 4.552 -6.571 7.024
O 4.969 -10.210 2.330
O 4.870 -2.318 4.326
O 5.215 -5.886 0.003
O 3.090 -2.681 8.473
O 3.484 -6.168 3.811
O 2.884 -6.876 10.834
O 3.137 -10.565 6.555
O 5.000 -4.893 9.555
O 5.076 -8.710 5.264
O 1.056 -2.077 0.057
O 5.512 -4.342 2.359
O 2.906 -4.178 5.754
O 3.060 -7.936 1.221
O 2.615 -8.522 8.501
O 6.911 -10.818 10.867